## Te8Mo3W (PBE)

Data for a relaxed Te8Mo3W crystal.

Lattice parameters (Å, degrees): 3.5593 3.5593 40.1072 90.00 90.00 120.00
Fractional positions:
Te: 0.0000 0.0000 0.3270
Te: 0.0000 0.0000 0.7027
Te: 0.3333 0.6667 0.0487
Te: 0.3333 0.6667 0.4243
Te: 0.3333 0.6667 0.1391
Te: 0.3333 0.6667 0.5150
Te: 0.0000 0.0000 0.2366
Te: 0.0000 0.0000 0.6123
Mo: 0.0000 0.0000 0.0939
Mo: 0.3333 0.6667 0.2818
Mo: 0.3333 0.6667 0.6575
W: 0.0000 0.0000 0.4697

Its total energy is -6.1134 eV/atom. The calculated density is 5.632 g cm⁻³. The energy relative to the elements is -0.227 eV per atom.